VASP calculation (PBE) on a geometry-optimized Cu2Si2Pb7S4O26 structure.

a b c (Å): 10.820 10.820 9.614
angles (deg): 90.61 90.61 30.78
Positions (direct):
Cu  0.000  0.500  0.000
Cu  0.500  0.000  0.000
Si  0.105  0.105  0.008
Si  0.895  0.895  0.992
Pb  0.025  0.025  0.288
Pb  0.157  0.157  0.670
Pb  0.353  0.353  0.745
Pb  0.500  0.500  0.000
Pb  0.647  0.647  0.255
Pb  0.843  0.843  0.330
Pb  0.975  0.975  0.712
S  0.232  0.232  0.345
S  0.432  0.432  0.345
S  0.568  0.568  0.655
S  0.768  0.768  0.655
O  0.031  0.456  0.255
O  0.069  0.069  0.856
O  0.139  0.691  0.894
O  0.163  0.163  0.387
O  0.186  0.186  0.975
O  0.212  0.641  0.434
O  0.276  0.276  0.465
O  0.303  0.303  0.972
O  0.309  0.861  0.106
O  0.359  0.788  0.566
O  0.384  0.384  0.234
O  0.456  0.031  0.255
O  0.499  0.499  0.283
O  0.501  0.501  0.717
O  0.544  0.969  0.745
O  0.616  0.616  0.766
O  0.641  0.212  0.434
O  0.691  0.139  0.894
O  0.697  0.697  0.028
O  0.724  0.724  0.535
O  0.788  0.359  0.566
O  0.814  0.814  0.025
O  0.837  0.837  0.613
O  0.861  0.309  0.106
O  0.931  0.931  0.144
O  0.969  0.544  0.745

Computed properties:
Energy   -6.107 eV per atom
Spin magnetization   0.00 μB per formula unit
SG   C2/m, No. 12
Crystal system   monoclinic

VASP calculation (PBE) on a geometry-optimized Na6Ca4Zr4Si3S9O48 structure.

a b c (Å): 9.139 15.947 23.807
angles (deg): 90.07 90.07 90.06
Positions (direct):
Na  0.000  0.000  0.000
Na  0.003  0.299  0.158
Na  0.007  0.661  0.829
Na  0.030  0.989  0.486
Na  0.042  0.679  0.325
Na  0.127  0.497  0.750
Na  0.382  0.001  0.251
Na  0.478  0.176  0.829
Na  0.489  0.489  0.993
Na  0.493  0.160  0.318
Na  0.516  0.504  0.491
Na  0.523  0.813  0.647
Na  0.538  0.837  0.153
Na  0.642  0.996  0.739
Na  0.664  0.675  0.080
Na  0.862  0.172  0.575
Na  0.880  0.496  0.240
Na  0.983  0.332  0.649
Ca  0.008  0.337  0.503
Ca  0.013  0.672  0.175
Ca  0.017  0.992  0.636
Ca  0.018  0.315  0.304
Ca  0.019  0.329  0.813
Ca  0.499  0.831  0.313
Ca  0.501  0.492  0.137
Ca  0.506  0.170  0.675
Ca  0.506  0.824  0.809
Ca  0.512  0.837  0.005
Ca  0.518  0.172  0.177
Ca  0.995  0.674  0.674
Zr  0.004  0.662  0.474
Zr  0.013  0.668  0.976
Zr  0.019  0.005  0.845
Zr  0.019  0.325  0.002
Zr  0.024  0.002  0.343
Zr  0.500  0.505  0.344
Zr  0.502  0.495  0.847
Zr  0.502  0.824  0.500
Zr  0.505  0.168  0.473
Zr  0.511  0.160  0.976
Zr  0.525  0.500  0.629
Zr  0.996  0.006  0.133
Si  0.151  0.485  0.904
Si  0.160  0.142  0.238
Si  0.171  0.182  0.905
Si  0.350  0.680  0.405
Si  0.362  0.983  0.405
Si  0.663  0.310  0.575
Si  0.709  0.673  0.574
Si  0.808  0.172  0.073
Si  0.859  0.814  0.075
S  0.152  0.857  0.239
S  0.159  0.519  0.578
S  0.162  0.811  0.570
S  0.200  0.831  0.906
S  0.209  0.164  0.572
S  0.210  0.499  0.243
S  0.308  0.997  0.743
S  0.311  0.663  0.072
S  0.319  0.333  0.407
S  0.358  0.018  0.076
S  0.359  0.312  0.070
S  0.368  0.359  0.739
S  0.368  0.637  0.740
S  0.653  0.016  0.573
S  0.655  0.356  0.245
S  0.656  0.643  0.240
S  0.663  0.986  0.903
S  0.665  0.676  0.908
S  0.707  0.330  0.908
S  0.723  0.995  0.241
S  0.796  0.497  0.740
S  0.811  0.830  0.409
S  0.854  0.176  0.410
S  0.856  0.486  0.403
S  0.863  0.143  0.740
S  0.863  0.854  0.745
S  0.865  0.516  0.072
O  0.083  0.233  0.236
O  0.089  0.228  0.958
O  0.089  0.895  0.569
O  0.091  0.771  0.242
O  0.092  0.458  0.842
O  0.093  0.086  0.900
O  0.093  0.580  0.920
O  0.099  0.085  0.184
O  0.100  0.900  0.292
O  0.100  0.905  0.897
O  0.101  0.434  0.570
O  0.102  0.756  0.912
O  0.103  0.761  0.523
O  0.103  0.903  0.189
O  0.104  0.087  0.295
O  0.105  0.556  0.630
O  0.112  0.089  0.570
O  0.112  0.426  0.248
O  0.113  0.418  0.954
O  0.115  0.240  0.567
O  0.120  0.577  0.245
O  0.123  0.572  0.528
O  0.139  0.768  0.624
O  0.155  0.231  0.847
O  0.177  0.663  0.421
O  0.178  0.990  0.404
O  0.195  0.013  0.076
O  0.198  0.324  0.062
O  0.205  0.357  0.739
O  0.205  0.639  0.741
O  0.208  0.999  0.794
O  0.210  0.658  0.022
O  0.221  0.992  0.692
O  0.226  0.666  0.124
O  0.229  0.320  0.357
O  0.235  0.348  0.458
O  0.286  0.847  0.956
O  0.290  0.818  0.855
O  0.293  0.167  0.625
O  0.297  0.493  0.192
O  0.309  0.159  0.522
O  0.312  0.502  0.294
O  0.315  0.856  0.240
O  0.323  0.823  0.563
O  0.325  0.514  0.579
O  0.337  0.141  0.242
O  0.338  0.493  0.900
O  0.344  0.164  0.919
O  0.364  0.731  0.348
O  0.383  0.270  0.123
O  0.398  0.072  0.025
O  0.401  0.074  0.745
O  0.404  0.739  0.067
O  0.405  0.916  0.456
O  0.405  0.923  0.747
O  0.407  0.588  0.070
O  0.414  0.056  0.128
O  0.414  0.588  0.792
O  0.415  0.257  0.413
O  0.415  0.409  0.690
O  0.416  0.262  0.021
O  0.419  0.404  0.792
O  0.419  0.934  0.068
O  0.421  0.406  0.398
O  0.421  0.593  0.690
O  0.422  0.077  0.424
O  0.424  0.957  0.345
O  0.427  0.584  0.401
O  0.431  0.396  0.068
O  0.432  0.722  0.743
O  0.432  0.726  0.459
O  0.433  0.275  0.741
O  0.582  0.405  0.581
O  0.589  0.273  0.247
O  0.590  0.263  0.519
O  0.594  0.931  0.562
O  0.596  0.709  0.959
O  0.597  0.406  0.294
O  0.598  0.046  0.628
O  0.599  0.728  0.245
O  0.600  0.072  0.911
O  0.600  0.951  0.850
O  0.602  0.589  0.289
O  0.602  0.753  0.562
O  0.603  0.590  0.897
O  0.604  0.259  0.918
O  0.605  0.585  0.577
O  0.607  0.604  0.187
O  0.609  0.076  0.528
O  0.613  0.408  0.902
O  0.622  0.402  0.193
O  0.627  0.919  0.240
O  0.632  0.072  0.242
O  0.639  0.729  0.858
O  0.639  0.933  0.951
O  0.640  0.252  0.630
O  0.683  0.822  0.067
O  0.692  0.165  0.417
O  0.692  0.498  0.397
O  0.697  0.159  0.018
O  0.700  0.139  0.745
O  0.700  0.499  0.791
O  0.700  0.849  0.749
O  0.701  0.516  0.071
O  0.702  0.498  0.689
O  0.712  0.841  0.458
O  0.720  0.186  0.130
O  0.730  0.813  0.357
O  0.787  0.315  0.856
O  0.793  0.686  0.632
O  0.804  0.345  0.957
O  0.814  0.992  0.189
O  0.817  0.016  0.573
O  0.817  0.354  0.250
O  0.819  0.639  0.244
O  0.819  0.994  0.292
O  0.821  0.657  0.520
O  0.826  0.665  0.914
O  0.826  0.997  0.896
O  0.839  0.321  0.568
O  0.878  0.230  0.361
O  0.878  0.749  0.127
O  0.879  0.434  0.453
O  0.887  0.420  0.739
O  0.892  0.572  0.741
O  0.895  0.900  0.692
O  0.902  0.907  0.405
O  0.909  0.576  0.026
O  0.910  0.085  0.075
O  0.912  0.103  0.687
O  0.913  0.757  0.420
O  0.914  0.089  0.400
O  0.915  0.253  0.060
O  0.917  0.089  0.789
O  0.918  0.904  0.794
O  0.919  0.451  0.351
O  0.919  0.572  0.412
O  0.920  0.228  0.745
O  0.921  0.209  0.461
O  0.921  0.546  0.127
O  0.924  0.432  0.060
O  0.930  0.763  0.018
O  0.932  0.771  0.747
O  0.943  0.905  0.081

Computed properties:
Energy   -6.809 eV per atom
Spin magnetization   0.00 μB per formula unit
SG   P1, No. 1
Crystal system   triclinic

VASP calculation (PBE) on a geometry-optimized CsPO3 structure.

a b c (Å): 6.944 4.392 14.085
angles (deg): 90.00 114.34 90.00
Positions (direct):
Cs  0.185  0.135  0.408
Cs  0.185  0.365  0.908
Cs  0.815  0.635  0.092
Cs  0.815  0.865  0.592
P  0.368  0.510  0.683
P  0.368  0.990  0.183
P  0.632  0.010  0.817
P  0.632  0.490  0.317
O  0.167  0.126  0.180
O  0.167  0.374  0.680
O  0.372  0.653  0.587
O  0.372  0.847  0.087
O  0.444  0.745  0.279
O  0.444  0.755  0.779
O  0.556  0.245  0.221
O  0.556  0.255  0.721
O  0.628  0.153  0.913
O  0.628  0.347  0.413
O  0.833  0.626  0.320
O  0.833  0.874  0.820

Computed properties:
Energy   -6.495 eV per atom
SG   P2_1/c, No. 14
Crystal system   monoclinic

VASP calculation (PBE) on a geometry-optimized Mg6VMo structure.

a b c (Å): 4.735 5.970 10.970
angles (deg): 90.00 90.00 90.00
Positions (direct):
Mo  0.500  0.000  0.693
Mo  0.500  0.500  0.193
Mg  0.000  0.740  0.078
Mg  0.000  0.760  0.578
Mg  0.000  0.000  0.329
Mg  0.000  0.500  0.829
Mg  0.500  0.241  0.923
Mg  0.500  0.741  0.423
Mg  0.500  0.759  0.923
Mg  0.500  0.259  0.423
Mg  0.000  0.240  0.578
Mg  0.500  0.000  0.170
Mg  0.000  0.260  0.078
Mg  0.500  0.500  0.670
V  0.000  0.500  0.305
V  0.000  0.000  0.805

Computed properties:
Energy   -3.445 eV per atom
Excess energy over the best structure of this formula in the dataset   0 meV per atom
Spin magnetization   1.50 μB per formula unit

VASP calculation (PBE) on a geometry-optimized Eu2Cl2F structure.

a b c (Å): 5.977 5.977 13.465
angles (deg): 90.00 90.00 90.00
Positions (direct):
Eu  0.000  0.000  0.173
Eu  0.000  0.000  0.827
Cl  0.000  0.000  0.362
Cl  0.000  0.000  0.638
F  0.000  0.000  0.000

Computed properties:
Energy   -6.821 eV per atom
Spin magnetization   14.37 μB per formula unit
SG   P4/mmm, No. 123
Crystal system   tetragonal

VASP calculation (PBE) on a geometry-optimized SrCa4P3O12F structure.

a b c (Å): 9.543 9.543 7.024
angles (deg): 90.00 90.00 120.00
Positions (direct):
Sr  0.333  0.667  0.000
Sr  0.667  0.333  0.500
Ca  0.001  0.246  0.248
Ca  0.245  0.999  0.248
Ca  0.246  0.245  0.748
Ca  0.333  0.667  0.498
Ca  0.667  0.333  0.998
Ca  0.754  0.755  0.248
Ca  0.755  0.001  0.748
Ca  0.999  0.754  0.748
P  0.028  0.395  0.750
P  0.367  0.972  0.750
P  0.395  0.367  0.250
P  0.605  0.633  0.750
P  0.633  0.028  0.250
P  0.972  0.605  0.250
O  0.080  0.335  0.573
O  0.091  0.347  0.929
O  0.114  0.583  0.739
O  0.158  0.682  0.260
O  0.255  0.920  0.573
O  0.256  0.909  0.929
O  0.318  0.476  0.260
O  0.335  0.255  0.073
O  0.347  0.256  0.429
O  0.417  0.531  0.739
O  0.469  0.886  0.739
O  0.476  0.158  0.760
O  0.524  0.842  0.260
O  0.531  0.114  0.239
O  0.583  0.469  0.239
O  0.653  0.744  0.929
O  0.665  0.745  0.573
O  0.682  0.524  0.760
O  0.744  0.091  0.429
O  0.745  0.080  0.073
O  0.842  0.318  0.760
O  0.886  0.417  0.239
O  0.909  0.653  0.429
O  0.920  0.665  0.073
F  0.000  0.000  0.254
F  0.000  0.000  0.754

Computed properties:
Energy   -7.158 eV per atom
Spin magnetization   0.00 μB per formula unit
SG   P6_3, No. 173
Crystal system   hexagonal

VASP calculation (PBE) on a geometry-optimized Tb2AlCu structure.

a b c (Å): 3.471 3.471 7.456
angles (deg): 90.00 90.00 90.00
Positions (direct):
Tb  0.000  0.000  0.239
Tb  0.000  0.000  0.761
Al  0.500  0.500  0.500
Cu  0.500  0.500  0.000

Computed properties:
Energy   -4.584 eV per atom
Spin magnetization   0.03 μB per formula unit
SG   P4/mmm, No. 123
Crystal system   tetragonal

VASP calculation (PBE) on a geometry-optimized PaAlRu2 structure.

a b c (Å): 6.538 6.538 6.538
angles (deg): 90.00 90.00 90.00
Positions (direct):
Pa  0.000  0.000  0.000
Pa  0.000  0.500  0.500
Pa  0.500  0.000  0.500
Pa  0.500  0.500  0.000
Al  0.000  0.000  0.500
Al  0.000  0.500  0.000
Al  0.500  0.000  0.000
Al  0.500  0.500  0.500
Ru  0.250  0.250  0.250
Ru  0.250  0.250  0.750
Ru  0.250  0.750  0.250
Ru  0.250  0.750  0.750
Ru  0.750  0.250  0.250
Ru  0.750  0.250  0.750
Ru  0.750  0.750  0.250
Ru  0.750  0.750  0.750

Computed properties:
Energy   -8.521 eV per atom
SG   Fm-3m, No. 225
Crystal system   cubic

VASP calculation (PBE) on a geometry-optimized Rb2ZnCl3 structure.

a b c (Å): 9.126 9.518 11.760
angles (deg): 90.00 97.58 90.00
Positions (direct):
Rb  0.000  0.029  0.000
Rb  0.000  0.971  0.500
Rb  0.418  0.368  0.920
Rb  0.418  0.632  0.420
Rb  0.456  0.029  0.687
Rb  0.456  0.971  0.187
Rb  0.907  0.404  0.276
Rb  0.907  0.596  0.776
Zn  0.212  0.471  0.636
Zn  0.212  0.529  0.136
Zn  0.789  0.231  0.768
Zn  0.789  0.769  0.268
Cl  0.068  0.397  0.999
Cl  0.068  0.603  0.499
Cl  0.073  0.274  0.657
Cl  0.073  0.726  0.157
Cl  0.253  0.372  0.286
Cl  0.253  0.628  0.786
Cl  0.332  0.053  0.932
Cl  0.332  0.947  0.432
Cl  0.450  0.395  0.623
Cl  0.450  0.605  0.123
Cl  0.803  0.088  0.227
Cl  0.803  0.912  0.727

Computed properties:
Energy   -2.888 eV per atom
Spin magnetization   0.00 μB per formula unit
SG   Pc, No. 7
Crystal system   monoclinic